A plane-wave DFT calculation with r2SCAN was carried out for a relaxed structure of SrIn2Pd.

```
data_SrIn2Pd
_chemical_formula_sum 'Sr4 In8 Pd4'
_cell_length_a 4.553
_cell_length_b 10.918
_cell_length_c 7.979
_cell_angle_alpha 90.00
_cell_angle_beta 90.00
_cell_angle_gamma 90.00
_space_group_name_H-M_alt 'C m c m'
_space_group_IT_number 63
_space_group_name_Hall '-C 2c 2'
loop_
_atom_site_label
_atom_site_type_symbol
_atom_site_fract_x
_atom_site_fract_y
_atom_site_fract_z
Sr1 Sr 0.000 0.059 0.250
In1 In 0.000 0.346 0.054
Pd1 Pd 0.000 0.220 0.750
```

Computed properties:
Mass density in g cm⁻³: 7.10
Final energy in eV/atom: -21.50
Crystal system: orthorhombic


A plane-wave DFT calculation with r2SCAN was carried out for a relaxed structure of Sm2CdSb4.

```
data_Sm2CdSb4
_chemical_formula_sum 'Sm2 Cd1 Sb4'
_cell_length_a 4.290
_cell_length_b 4.290
_cell_length_c 11.024
_cell_angle_alpha 90.00
_cell_angle_beta 90.00
_cell_angle_gamma 90.00
_space_group_name_H-M_alt 'P -4 m 2'
_space_group_IT_number 115
loop_
_space_group_symop_operation_xyz
'x,y,z'
'y,-x,-z'
'-x,-y,z'
'-y,x,-z'
'-x,y,z'
'-y,-x,-z'
'x,-y,z'
'y,x,-z'
loop_
_atom_site_label
_atom_site_type_symbol
_atom_site_fract_x
_atom_site_fract_y
_atom_site_fract_z
Sm1 Sm 0.000 0.500 0.231
Cd1 Cd 0.500 0.500 0.500
Sb1 Sb 0.000 0.000 0.000
Sb2 Sb 0.000 0.500 0.672
Sb3 Sb 0.500 0.500 0.000
```

Computed properties:
Mass density in g cm⁻³: 7.37
Final energy in eV/atom: -26.87
Crystal system: tetragonal


A plane-wave DFT calculation with r2SCAN was carried out for a relaxed structure of MoPO5.

```
data_MoPO5
_chemical_formula_sum 'Mo4 P4 O20'
_cell_length_a 7.298
_cell_length_b 6.407
_cell_length_c 7.321
_cell_angle_alpha 90.00
_cell_angle_beta 90.00
_cell_angle_gamma 90.00
_space_group_name_H-M_alt 'P n m a'
_space_group_IT_number 62
loop_
_space_group_symop_operation_xyz
'x,y,z'
'-x,-y,-z'
'-x+1/2,-y,z+1/2'
'x+1/2,y,-z+1/2'
'x+1/2,-y+1/2,-z+1/2'
'-x+1/2,y+1/2,z+1/2'
'-x,y+1/2,-z'
'x,-y+1/2,z'
loop_
_atom_site_label
_atom_site_type_symbol
_atom_site_fract_x
_atom_site_fract_y
_atom_site_fract_z
Mo1 Mo 0.125 0.250 0.246
P1 P 0.123 0.750 0.371
O1 O 0.049 0.250 0.509
O2 O 0.121 0.558 0.248
O3 O 0.127 0.750 0.811
O4 O 0.203 0.250 0.988
```

Computed properties:
Mass density in g cm⁻³: 4.01
Final energy in eV/atom: -11.52
Crystal system: orthorhombic


A plane-wave DFT calculation with r2SCAN was carried out for a relaxed structure of K2MgCl4.

```
data_K2MgCl4
_chemical_formula_sum 'K4 Mg2 Cl8'
_cell_length_a 4.928
_cell_length_b 4.928
_cell_length_c 15.619
_cell_angle_alpha 90.00
_cell_angle_beta 90.00
_cell_angle_gamma 90.00
_space_group_name_H-M_alt 'I 4/m m m'
_space_group_IT_number 139
_space_group_name_Hall '-I 4 2'
loop_
_atom_site_label
_atom_site_type_symbol
_atom_site_fract_x
_atom_site_fract_y
_atom_site_fract_z
K1 K 0.000 0.000 0.142
Mg1 Mg 0.000 0.000 0.500
Cl1 Cl 0.000 0.000 0.340
Cl2 Cl 0.000 0.500 0.000
```

Computed properties:
Mass density in g cm⁻³: 2.14
Final energy in eV/atom: -7.98
Crystal system: tetragonal


A plane-wave DFT calculation with r2SCAN was carried out for a relaxed structure of Na2BeF4.

```
data_Na2BeF4
_chemical_formula_sum 'Na8 Be4 F16'
_cell_length_a 5.505
_cell_length_b 7.914
_cell_length_c 8.731
_cell_angle_alpha 90.00
_cell_angle_beta 118.39
_cell_angle_gamma 90.00
_space_group_name_H-M_alt 'P 1 21/c 1'
_space_group_IT_number 14
loop_
_space_group_symop_operation_xyz
'x,y,z'
'-x,-y,-z'
'-x,y+1/2,-z+1/2'
'x,-y+1/2,z+1/2'
loop_
_atom_site_label
_atom_site_type_symbol
_atom_site_fract_x
_atom_site_fract_y
_atom_site_fract_z
Na1 Na 0.086 0.157 0.373
Na2 Na 0.353 0.014 0.133
Be1 Be 0.254 0.695 0.963
F1 F 0.013 0.682 0.432
F2 F 0.174 0.606 0.789
F3 F 0.288 0.564 0.103
F4 F 0.481 0.195 0.978
```

Computed properties:
Mass density in g cm⁻³: 2.60
Final energy in eV/atom: -6.67
Crystal system: monoclinic


A plane-wave DFT calculation with r2SCAN was carried out for a relaxed structure of NdPO4.

```
data_NdPO4
_chemical_formula_sum 'Nd4 P4 O16'
_cell_length_a 7.100
_cell_length_b 7.100
_cell_length_c 6.212
_cell_angle_alpha 90.00
_cell_angle_beta 90.00
_cell_angle_gamma 90.00
_space_group_name_H-M_alt 'I 41/a m d'
_space_group_IT_number 141
loop_
_space_group_symop_operation_xyz
'x,y,z'
'-x,-y,-z'
'-y+1/4,x+3/4,z+1/4'
'y+1/4,-x+3/4,-z+1/4'
'-x+1/2,-y,z+1/2'
'x+1/2,y,-z+1/2'
'y+1/4,-x+1/4,z+3/4'
'-y+1/4,x+1/4,-z+3/4'
'x,-y,-z'
'-x,y,z'
'-y+1/4,-x+1/4,-z+3/4'
'y+1/4,x+1/4,z+3/4'
'-x+1/2,y,-z+1/2'
'x+1/2,-y,z+1/2'
'y+1/4,x+3/4,-z+1/4'
'-y+1/4,-x+3/4,z+1/4'
'x+1/2,y+1/2,z+1/2'
'-x+1/2,-y+1/2,-z+1/2'
'-y+3/4,x+1/4,z+3/4'
'y+3/4,-x+1/4,-z+3/4'
'-x,-y+1/2,z'
'x,y+1/2,-z'
'y+3/4,-x+3/4,z+1/4'
'-y+3/4,x+3/4,-z+1/4'
'x+1/2,-y+1/2,-z+1/2'
'-x+1/2,y+1/2,z+1/2'
'-y+3/4,-x+3/4,-z+1/4'
'y+3/4,x+3/4,z+1/4'
'-x,y+1/2,-z'
'x,-y+1/2,z'
'y+3/4,x+1/4,-z+3/4'
'-y+3/4,-x+1/4,z+3/4'
loop_
_atom_site_label
_atom_site_type_symbol
_atom_site_fract_x
_atom_site_fract_y
_atom_site_fract_z
Nd1 Nd 0.000 0.250 0.375
P1 P 0.000 0.250 0.875
O1 O 0.000 0.079 0.722
```

Computed properties:
Mass density in g cm⁻³: 5.07
Final energy in eV/atom: -13.66
Crystal system: tetragonal


A plane-wave DFT calculation with r2SCAN was carried out for a relaxed structure of Ce4ThO10.

```
data_Ce4ThO10
_chemical_formula_sum 'Ce8 Th2 O20'
_cell_length_a 3.869
_cell_length_b 3.869
_cell_length_c 27.345
_cell_angle_alpha 90.00
_cell_angle_beta 90.00
_cell_angle_gamma 90.00
_space_group_name_H-M_alt 'I 4/m m m'
_space_group_IT_number 139
_space_group_name_Hall '-I 4 2'
loop_
_atom_site_label
_atom_site_type_symbol
_atom_site_fract_x
_atom_site_fract_y
_atom_site_fract_z
Ce1 Ce 0.000 0.000 0.102
Ce2 Ce 0.000 0.000 0.300
Th1 Th 0.000 0.000 0.500
O1 O 0.000 0.500 0.052
O2 O 0.000 0.500 0.151
O3 O 0.000 0.500 0.250
```

Computed properties:
Mass density in g cm⁻³: 7.73
Final energy in eV/atom: -20.95
Crystal system: tetragonal


A plane-wave DFT calculation with r2SCAN was carried out for a relaxed structure of SmPb3.

```
data_SmPb3
_chemical_formula_sum 'Sm2 Pb6'
_cell_length_a 6.907
_cell_length_b 6.906
_cell_length_c 4.887
_cell_angle_alpha 90.00
_cell_angle_beta 90.11
_cell_angle_gamma 90.00
_space_group_name_H-M_alt 'C 1 2/m 1'
_space_group_IT_number 12
loop_
_space_group_symop_operation_xyz
'x,y,z'
'-x,-y,-z'
'-x,y,-z'
'x,-y,z'
'x+1/2,y+1/2,z'
'-x+1/2,-y+1/2,-z'
'-x+1/2,y+1/2,-z'
'x+1/2,-y+1/2,z'
loop_
_atom_site_label
_atom_site_type_symbol
_atom_site_fract_x
_atom_site_fract_y
_atom_site_fract_z
Sm1 Sm 0.000 0.000 0.000
Pb1 Pb 0.000 0.500 0.000
Pb2 Pb 0.250 0.250 0.500
```

Computed properties:
Mass density in g cm⁻³: 11.00
Final energy in eV/atom: -50.08
Crystal system: monoclinic


A plane-wave DFT calculation with r2SCAN was carried out for a relaxed structure of K2NbF7.

```
data_K2NbF7
_chemical_formula_sum 'K8 Nb4 F28'
_cell_length_a 5.774
_cell_length_b 12.669
_cell_length_c 8.493
_cell_angle_alpha 90.00
_cell_angle_beta 90.03
_cell_angle_gamma 90.00
_space_group_name_H-M_alt 'P 1 21/c 1'
_space_group_IT_number 14
loop_
_space_group_symop_operation_xyz
'x,y,z'
'-x,-y,-z'
'-x,y+1/2,-z+1/2'
'x,-y+1/2,z+1/2'
loop_
_atom_site_label
_atom_site_type_symbol
_atom_site_fract_x
_atom_site_fract_y
_atom_site_fract_z
K1 K 0.237 0.218 0.445
K2 K 0.238 0.560 0.320
Nb1 Nb 0.273 0.628 0.780
F1 F 0.041 0.607 0.608
F2 F 0.042 0.745 0.802
F3 F 0.189 0.623 0.003
F4 F 0.211 0.025 0.288
F5 F 0.432 0.076 0.628
F6 F 0.466 0.742 0.294
F7 F 0.469 0.609 0.589
```

Computed properties:
Mass density in g cm⁻³: 3.25
Final energy in eV/atom: -9.14
Crystal system: monoclinic


Energy of formation for every record listed, in sequence, given in meV per atom: -685 -814 -2239 -2145 -3242 -3275 -3844 -436 -3280.